[1]
{
  "formula": "RbSrSiHO4",
  "functional": "PBE",
  "state": "relaxed",
  "formation_energy_ev_per_atom": -2.719,
  "lattice": [[5.857, 0.000, 0.000], [0.000, 7.914, 0.000], [-2.885, 0.000, 5.152]],
  "species": ["Rb", "Rb", "Sr", "Sr", "Si", "Si", "H", "H", "O", "O", "O", "O", "O", "O", "O", "O"],
  "fractional_positions": [[0.140, 0.000, 0.282], [0.860, 0.500, 0.718], [0.487, 0.253, 0.991], [0.513, 0.753, 0.009], [0.189, 0.514, 0.378], [0.811, 0.014, 0.622], [0.008, 0.275, 0.461], [0.992, 0.775, 0.539], [0.009, 0.837, 0.698], [0.023, 0.171, 0.708], [0.350, 0.507, 0.217], [0.378, 0.508, 0.695], [0.622, 0.008, 0.305], [0.650, 0.007, 0.783], [0.977, 0.671, 0.292], [0.991, 0.337, 0.302]]
}

***

[2]
{
  "formula": "Rb2TeH12O10",
  "functional": "PBE",
  "state": "relaxed",
  "formation_energy_ev_per_atom": -1.427,
  "lattice": [[7.156, 0.000, 0.000], [-0.622, 8.411, 0.000], [-1.331, -2.062, 9.131]],
  "species": ["Rb", "Rb", "Rb", "Rb", "Te", "Te", "H", "H", "H", "H", "H", "H", "H", "H", "H", "H", "H", "H", "H", "H", "H", "H", "H", "H", "H", "H", "H", "H", "H", "H", "O", "O", "O", "O", "O", "O", "O", "O", "O", "O", "O", "O", "O", "O", "O", "O", "O", "O", "O", "O"],
  "fractional_positions": [[0.061, 0.038, 0.204], [0.439, 0.632, 0.708], [0.561, 0.368, 0.292], [0.939, 0.962, 0.796], [0.368, 0.071, 0.612], [0.632, 0.929, 0.388], [0.004, 0.555, 0.185], [0.087, 0.858, 0.501], [0.097, 0.451, 0.372], [0.109, 0.358, 0.694], [0.179, 0.331, 0.473], [0.211, 0.362, 0.038], [0.212, 0.650, 0.021], [0.283, 0.204, 0.946], [0.308, 0.637, 0.178], [0.331, 0.927, 0.913], [0.363, 0.740, 0.409], [0.412, 0.882, 0.062], [0.588, 0.118, 0.938], [0.637, 0.260, 0.591], [0.669, 0.073, 0.087], [0.692, 0.363, 0.822], [0.717, 0.796, 0.054], [0.788, 0.350, 0.979], [0.789, 0.638, 0.962], [0.821, 0.669, 0.527], [0.891, 0.642, 0.306], [0.903, 0.549, 0.628], [0.913, 0.142, 0.499], [0.996, 0.445, 0.815], [0.080, 0.467, 0.745], [0.149, 0.179, 0.582], [0.209, 0.581, 0.093], [0.214, 0.409, 0.414], [0.218, 0.850, 0.551], [0.219, 0.244, 0.031], [0.300, 0.857, 0.982], [0.381, 0.071, 0.813], [0.405, 0.055, 0.401], [0.456, 0.719, 0.341], [0.544, 0.281, 0.659], [0.595, 0.945, 0.599], [0.619, 0.929, 0.187], [0.700, 0.143, 0.018], [0.781, 0.756, 0.969], [0.782, 0.150, 0.449], [0.786, 0.591, 0.586], [0.791, 0.419, 0.907], [0.851, 0.821, 0.418], [0.920, 0.533, 0.255]]
}

***

[3]
{
  "formula": "SbH3SO6",
  "functional": "PBE",
  "state": "relaxed",
  "formation_energy_ev_per_atom": -1.590,
  "lattice": [[6.109, 0.000, 0.000], [0.000, 13.524, 0.000], [-3.192, 0.000, 6.029]],
  "species": ["Sb", "Sb", "Sb", "Sb", "H", "H", "H", "H", "H", "H", "H", "H", "H", "H", "H", "H", "S", "S", "S", "S", "O", "O", "O", "O", "O", "O", "O", "O", "O", "O", "O", "O", "O", "O", "O", "O", "O", "O", "O", "O", "O", "O", "O", "O"],
  "fractional_positions": [[0.052, 0.114, 0.402], [0.052, 0.386, 0.902], [0.948, 0.614, 0.098], [0.948, 0.886, 0.598], [0.228, 0.572, 0.872], [0.228, 0.928, 0.372], [0.259, 0.135, 0.078], [0.259, 0.365, 0.578], [0.321, 0.028, 0.188], [0.321, 0.472, 0.688], [0.679, 0.528, 0.312], [0.679, 0.972, 0.812], [0.741, 0.635, 0.422], [0.741, 0.865, 0.922], [0.772, 0.072, 0.628], [0.772, 0.428, 0.128], [0.400, 0.659, 0.576], [0.400, 0.841, 0.076], [0.600, 0.159, 0.924], [0.600, 0.341, 0.424], [0.124, 0.538, 0.929], [0.124, 0.962, 0.429], [0.219, 0.088, 0.167], [0.219, 0.412, 0.667], [0.222, 0.740, 0.526], [0.222, 0.760, 0.026], [0.293, 0.586, 0.376], [0.293, 0.914, 0.876], [0.356, 0.191, 0.897], [0.356, 0.309, 0.397], [0.435, 0.600, 0.774], [0.435, 0.900, 0.274], [0.565, 0.100, 0.726], [0.565, 0.400, 0.226], [0.644, 0.691, 0.603], [0.644, 0.809, 0.103], [0.707, 0.086, 0.124], [0.707, 0.414, 0.624], [0.778, 0.240, 0.974], [0.778, 0.260, 0.474], [0.781, 0.588, 0.333], [0.781, 0.912, 0.833], [0.876, 0.038, 0.571], [0.876, 0.462, 0.071]]
}

***

[4]
{
  "formula": "Sc2H10S3O17",
  "functional": "PBE",
  "state": "relaxed",
  "formation_energy_ev_per_atom": -1.464,
  "lattice": [[6.649, 0.000, 0.000], [-2.007, 11.668, 0.000], [-1.039, -0.186, 12.001]],
  "species": ["Sc", "Sc", "Sc", "Sc", "H", "H", "H", "H", "H", "H", "H", "H", "H", "H", "H", "H", "H", "H", "H", "H", "H", "H", "H", "H", "S", "S", "S", "S", "S", "S", "O", "O", "O", "O", "O", "O", "O", "O", "O", "O", "O", "O", "O", "O", "O", "O", "O", "O", "O", "O", "O", "O", "O", "O", "O", "O", "O", "O", "O", "O", "O", "O", "O", "O"],
  "fractional_positions": [[0.000, 0.000, 0.000], [0.000, 0.500, 0.000], [0.346, 0.296, 0.637], [0.654, 0.704, 0.363], [0.116, 0.464, 0.215], [0.240, 0.663, 0.889], [0.282, 0.154, 0.223], [0.292, 0.973, 0.383], [0.307, 0.777, 0.398], [0.309, 0.594, 0.230], [0.341, 0.175, 0.174], [0.375, 0.279, 0.482], [0.402, 0.000, 0.650], [0.461, 0.636, 0.596], [0.539, 0.364, 0.404], [0.598, 0.000, 0.350], [0.625, 0.721, 0.518], [0.659, 0.825, 0.826], [0.691, 0.406, 0.770], [0.693, 0.223, 0.602], [0.708, 0.027, 0.617], [0.718, 0.846, 0.777], [0.760, 0.337, 0.111], [0.884, 0.536, 0.785], [0.112, 0.022, 0.721], [0.197, 0.541, 0.680], [0.303, 0.787, 0.046], [0.697, 0.213, 0.954], [0.803, 0.459, 0.320], [0.888, 0.978, 0.279], [0.010, 0.587, 0.658], [0.073, 0.025, 0.347], [0.087, 0.002, 0.842], [0.132, 0.863, 0.033], [0.141, 0.513, 0.149], [0.155, 0.412, 0.668], [0.174, 0.670, 0.961], [0.179, 0.146, 0.705], [0.277, 0.318, 0.903], [0.278, 0.402, 0.964], [0.287, 0.958, 0.698], [0.315, 0.580, 0.786], [0.338, 0.574, 0.581], [0.387, 0.830, 0.348], [0.411, 0.635, 0.290], [0.420, 0.942, 0.409], [0.474, 0.839, 0.983], [0.526, 0.161, 0.017], [0.580, 0.058, 0.591], [0.589, 0.365, 0.710], [0.613, 0.170, 0.652], [0.662, 0.426, 0.419], [0.685, 0.420, 0.214], [0.713, 0.042, 0.302], [0.722, 0.598, 0.036], [0.723, 0.682, 0.097], [0.821, 0.854, 0.295], [0.826, 0.330, 0.039], [0.845, 0.588, 0.332], [0.859, 0.487, 0.851], [0.868, 0.137, 0.967], [0.913, 0.998, 0.158], [0.927, 0.975, 0.653], [0.990, 0.413, 0.342]]
}

***

[5]
{
  "formula": "Sc2H10S3O17",
  "functional": "PBE",
  "state": "relaxed",
  "formation_energy_ev_per_atom": -1.421,
  "lattice": [[6.277, 0.000, 0.000], [0.069, 11.286, 0.000], [1.116, 2.211, 11.424]],
  "species": ["Sc", "Sc", "Sc", "Sc", "H", "H", "H", "H", "H", "H", "H", "H", "H", "H", "H", "H", "H", "H", "H", "H", "H", "H", "H", "H", "S", "S", "S", "S", "S", "S", "O", "O", "O", "O", "O", "O", "O", "O", "O", "O", "O", "O", "O", "O", "O", "O", "O", "O", "O", "O", "O", "O", "O", "O", "O", "O", "O", "O", "O", "O", "O", "O", "O", "O"],
  "fractional_positions": [[0.000, 0.000, 0.000], [0.000, 0.000, 0.500], [0.357, 0.627, 0.272], [0.643, 0.373, 0.728], [0.192, 0.345, 0.976], [0.215, 0.422, 0.270], [0.337, 0.416, 0.565], [0.338, 0.533, 0.619], [0.342, 0.077, 0.130], [0.342, 0.776, 0.847], [0.376, 0.122, 0.992], [0.422, 0.209, 0.408], [0.445, 0.143, 0.426], [0.455, 0.077, 0.689], [0.545, 0.923, 0.311], [0.555, 0.857, 0.574], [0.578, 0.791, 0.592], [0.624, 0.878, 0.008], [0.658, 0.224, 0.153], [0.658, 0.923, 0.870], [0.662, 0.467, 0.381], [0.663, 0.584, 0.435], [0.785, 0.578, 0.730], [0.808, 0.655, 0.024], [0.045, 0.686, 0.517], [0.145, 0.695, 0.005], [0.298, 0.996, 0.745], [0.702, 0.004, 0.255], [0.855, 0.305, 0.995], [0.955, 0.314, 0.483], [0.015, 0.185, 0.492], [0.066, 0.345, 0.037], [0.129, 0.821, 0.022], [0.151, 0.390, 0.461], [0.155, 0.676, 0.397], [0.156, 0.966, 0.664], [0.161, 0.348, 0.808], [0.172, 0.045, 0.840], [0.194, 0.652, 0.607], [0.215, 0.608, 0.102], [0.277, 0.078, 0.056], [0.288, 0.980, 0.405], [0.301, 0.689, 0.899], [0.346, 0.351, 0.851], [0.421, 0.456, 0.615], [0.426, 0.892, 0.797], [0.480, 0.773, 0.181], [0.520, 0.227, 0.819], [0.574, 0.108, 0.203], [0.579, 0.544, 0.385], [0.654, 0.649, 0.149], [0.699, 0.311, 0.101], [0.712, 0.020, 0.595], [0.723, 0.922, 0.944], [0.785, 0.392, 0.898], [0.806, 0.348, 0.393], [0.828, 0.955, 0.160], [0.839, 0.652, 0.192], [0.844, 0.034, 0.336], [0.845, 0.324, 0.603], [0.849, 0.610, 0.539], [0.871, 0.179, 0.978], [0.934, 0.655, 0.963], [0.985, 0.815, 0.508]]
}

***

[6]
{
  "formula": "Sc2H10S3O17",
  "functional": "PBE",
  "state": "relaxed",
  "formation_energy_ev_per_atom": -1.426,
  "lattice": [[6.403, 0.000, 0.000], [-1.952, 11.656, 0.000], [-3.028, -0.739, 12.453]],
  "species": ["Sc", "Sc", "Sc", "Sc", "H", "H", "H", "H", "H", "H", "H", "H", "H", "H", "H", "H", "H", "H", "H", "H", "H", "H", "H", "H", "S", "S", "S", "S", "S", "S", "O", "O", "O", "O", "O", "O", "O", "O", "O", "O", "O", "O", "O", "O", "O", "O", "O", "O", "O", "O", "O", "O", "O", "O", "O", "O", "O", "O", "O", "O", "O", "O", "O", "O"],
  "fractional_positions": [[0.000, 0.000, 0.000], [0.000, 0.000, 0.500], [0.351, 0.663, 0.277], [0.649, 0.337, 0.723], [0.137, 0.346, 0.047], [0.180, 0.095, 0.382], [0.208, 0.362, 0.663], [0.238, 0.519, 0.220], [0.276, 0.936, 0.252], [0.279, 0.121, 0.427], [0.328, 0.449, 0.592], [0.349, 0.916, 0.825], [0.429, 0.184, 0.037], [0.446, 0.603, 0.526], [0.554, 0.397, 0.474], [0.571, 0.816, 0.963], [0.651, 0.084, 0.175], [0.672, 0.551, 0.408], [0.721, 0.879, 0.573], [0.724, 0.064, 0.748], [0.762, 0.481, 0.780], [0.792, 0.638, 0.337], [0.820, 0.905, 0.618], [0.863, 0.654, 0.953], [0.179, 0.741, 0.489], [0.197, 0.742, 0.002], [0.391, 0.090, 0.742], [0.609, 0.910, 0.258], [0.803, 0.258, 0.998], [0.821, 0.259, 0.511], [0.013, 0.327, 0.079], [0.021, 0.678, 0.539], [0.067, 0.056, 0.853], [0.140, 0.692, 0.372], [0.142, 0.865, 0.479], [0.152, 0.159, 0.915], [0.188, 0.705, 0.110], [0.189, 0.867, 0.992], [0.231, 0.047, 0.638], [0.285, 0.128, 0.030], [0.352, 0.399, 0.655], [0.373, 0.886, 0.290], [0.377, 0.714, 0.962], [0.380, 0.218, 0.757], [0.397, 0.522, 0.492], [0.410, 0.742, 0.542], [0.465, 0.945, 0.790], [0.535, 0.055, 0.210], [0.590, 0.258, 0.458], [0.603, 0.478, 0.508], [0.620, 0.782, 0.243], [0.623, 0.286, 0.038], [0.627, 0.114, 0.710], [0.648, 0.601, 0.345], [0.715, 0.872, 0.970], [0.769, 0.953, 0.362], [0.811, 0.133, 0.008], [0.812, 0.295, 0.890], [0.848, 0.841, 0.085], [0.858, 0.135, 0.521], [0.860, 0.308, 0.628], [0.933, 0.944, 0.147], [0.979, 0.322, 0.461], [0.987, 0.673, 0.921]]
}

***

[7]
{
  "formula": "ScH4S2O10",
  "functional": "PBE",
  "state": "relaxed",
  "formation_energy_ev_per_atom": -1.875,
  "lattice": [[9.531, 0.000, 0.000], [0.000, 10.776, 0.000], [-1.772, 0.000, 8.579]],
  "species": ["Sc", "Sc", "Sc", "Sc", "H", "H", "H", "H", "H", "H", "H", "H", "H", "H", "H", "H", "H", "H", "H", "H", "S", "S", "S", "S", "S", "S", "S", "S", "O", "O", "O", "O", "O", "O", "O", "O", "O", "O", "O", "O", "O", "O", "O", "O", "O", "O", "O", "O", "O", "O", "O", "O", "O", "O", "O", "O", "O", "O", "O", "O", "O", "O", "O", "O", "O", "O", "O", "O"],
  "fractional_positions": [[0.003, 0.126, 0.246], [0.003, 0.374, 0.746], [0.997, 0.626, 0.254], [0.997, 0.874, 0.754], [0.396, 0.059, 0.283], [0.396, 0.441, 0.783], [0.428, 0.248, 0.082], [0.428, 0.252, 0.582], [0.442, 0.518, 0.161], [0.442, 0.982, 0.661], [0.458, 0.668, 0.487], [0.458, 0.832, 0.987], [0.542, 0.168, 0.013], [0.542, 0.332, 0.513], [0.558, 0.018, 0.339], [0.558, 0.482, 0.839], [0.572, 0.748, 0.418], [0.572, 0.752, 0.918], [0.604, 0.559, 0.217], [0.604, 0.941, 0.717], [0.178, 0.123, 0.640], [0.178, 0.377, 0.140], [0.181, 0.626, 0.640], [0.181, 0.874, 0.140], [0.819, 0.126, 0.860], [0.819, 0.374, 0.360], [0.822, 0.623, 0.860], [0.822, 0.877, 0.360], [0.076, 0.624, 0.489], [0.076, 0.876, 0.989], [0.080, 0.124, 0.485], [0.080, 0.376, 0.985], [0.141, 0.016, 0.731], [0.141, 0.484, 0.231], [0.143, 0.733, 0.734], [0.143, 0.767, 0.234], [0.157, 0.239, 0.724], [0.157, 0.261, 0.224], [0.162, 0.509, 0.727], [0.162, 0.991, 0.227], [0.329, 0.114, 0.626], [0.329, 0.386, 0.126], [0.329, 0.636, 0.622], [0.329, 0.864, 0.122], [0.453, 0.163, 0.055], [0.453, 0.337, 0.555], [0.490, 0.088, 0.340], [0.490, 0.412, 0.840], [0.510, 0.588, 0.160], [0.510, 0.912, 0.660], [0.547, 0.663, 0.445], [0.547, 0.837, 0.945], [0.671, 0.136, 0.878], [0.671, 0.364, 0.378], [0.671, 0.614, 0.874], [0.671, 0.886, 0.374], [0.838, 0.009, 0.773], [0.838, 0.491, 0.273], [0.843, 0.739, 0.776], [0.843, 0.761, 0.276], [0.857, 0.233, 0.766], [0.857, 0.267, 0.266], [0.859, 0.516, 0.769], [0.859, 0.984, 0.269], [0.920, 0.624, 0.015], [0.920, 0.876, 0.515], [0.924, 0.124, 0.011], [0.924, 0.376, 0.511]]
}